--- A ---
# Li9Co7O16 | Materials Project | PBE with a Hubbard U | optimized geometry
data_Li9Co7O16
_cell_length_a 19.428
_cell_length_b 19.428
_cell_length_c 4.973
_cell_angle_alpha 94.74
_cell_angle_beta 94.74
_cell_angle_gamma 8.84
_symmetry_space_group_name_H-M 'P 1'
_symmetry_Int_Tables_number 1
_symmetry_space_group_name_Hall 'P 1'
loop_
_atom_site_label
_atom_site_type_symbol
_atom_site_fract_x
_atom_site_fract_y
_atom_site_fract_z
Li1 Li 0.000 0.000 0.000
Li2 Li 0.061 0.061 0.688
Li3 Li 0.187 0.187 0.061
Li4 Li 0.313 0.313 0.439
Li5 Li 0.439 0.439 0.820
Li6 Li 0.561 0.561 0.180
Li7 Li 0.687 0.687 0.561
Li8 Li 0.813 0.813 0.939
Li9 Li 0.939 0.939 0.312
Co1 Co 0.125 0.125 0.374
Co2 Co 0.250 0.250 0.750
Co3 Co 0.376 0.376 0.126
Co4 Co 0.500 0.500 0.500
Co5 Co 0.624 0.624 0.874
Co6 Co 0.750 0.750 0.250
Co7 Co 0.875 0.875 0.626
O1 O 0.027 0.027 0.363
O2 O 0.095 0.095 0.040
O3 O 0.154 0.154 0.709
O4 O 0.221 0.221 0.415
O5 O 0.279 0.279 0.085
O6 O 0.346 0.346 0.792
O7 O 0.404 0.404 0.462
O8 O 0.472 0.472 0.196
O9 O 0.528 0.528 0.804
O10 O 0.596 0.596 0.538
O11 O 0.654 0.654 0.208
O12 O 0.721 0.721 0.915
O13 O 0.779 0.779 0.585
O14 O 0.846 0.846 0.291
O15 O 0.905 0.905 0.960
O16 O 0.973 0.973 0.637
# V, Å³ per cell: 287.4

---

--- B ---
# Li9Co7O16 | Materials Project | PBE with a Hubbard U | optimized geometry
data_Li9Co7O16
_cell_length_a 7.720
_cell_length_b 7.720
_cell_length_c 5.849
_cell_angle_alpha 112.02
_cell_angle_beta 112.02
_cell_angle_gamma 97.58
_symmetry_space_group_name_H-M 'P 1'
_symmetry_Int_Tables_number 1
_symmetry_space_group_name_Hall 'P 1'
loop_
_atom_site_label
_atom_site_type_symbol
_atom_site_fract_x
_atom_site_fract_y
_atom_site_fract_z
Li1 Li 0.000 0.000 0.000
Li2 Li 0.000 0.000 0.500
Li3 Li 0.123 0.370 0.994
Li4 Li 0.251 0.749 0.000
Li5 Li 0.370 0.123 0.994
Li6 Li 0.500 0.500 0.000
Li7 Li 0.630 0.877 0.006
Li8 Li 0.749 0.251 0.000
Li9 Li 0.877 0.630 0.006
Co1 Co 0.121 0.368 0.496
Co2 Co 0.248 0.752 0.500
Co3 Co 0.368 0.121 0.496
Co4 Co 0.500 0.500 0.500
Co5 Co 0.632 0.879 0.504
Co6 Co 0.752 0.248 0.500
Co7 Co 0.879 0.632 0.504
O1 O 0.021 0.517 0.281
O2 O 0.131 0.856 0.726
O3 O 0.144 0.869 0.274
O4 O 0.251 0.251 0.256
O5 O 0.257 0.257 0.732
O6 O 0.365 0.625 0.721
O7 O 0.375 0.635 0.279
O8 O 0.483 0.979 0.719
O9 O 0.517 0.021 0.281
O10 O 0.625 0.365 0.721
O11 O 0.635 0.375 0.279
O12 O 0.743 0.743 0.268
O13 O 0.749 0.749 0.744
O14 O 0.856 0.131 0.726
O15 O 0.869 0.144 0.274
O16 O 0.979 0.483 0.719
# V, Å³ per cell: 284.1

---

--- C ---
# Li9Co7O16 | Materials Project | PBE with a Hubbard U | optimized geometry
data_Li9Co7O16
_cell_length_a 10.160
_cell_length_b 10.160
_cell_length_c 10.160
_cell_angle_alpha 32.95
_cell_angle_beta 32.95
_cell_angle_gamma 32.95
_symmetry_space_group_name_H-M 'P 1'
_symmetry_Int_Tables_number 1
_symmetry_space_group_name_Hall 'P 1'
loop_
_atom_site_label
_atom_site_type_symbol
_atom_site_fract_x
_atom_site_fract_y
_atom_site_fract_z
Li1 Li 0.000 0.000 0.000
Li2 Li 0.244 0.754 0.754
Li3 Li 0.246 0.246 0.756
Li4 Li 0.246 0.756 0.246
Li5 Li 0.251 0.251 0.251
Li6 Li 0.749 0.749 0.749
Li7 Li 0.754 0.244 0.754
Li8 Li 0.754 0.754 0.244
Li9 Li 0.756 0.246 0.246
Co1 Co 0.000 0.000 0.500
Co2 Co 0.000 0.500 0.000
Co3 Co 0.000 0.500 0.500
Co4 Co 0.500 0.000 0.000
Co5 Co 0.500 0.000 0.500
Co6 Co 0.500 0.500 0.000
Co7 Co 0.500 0.500 0.500
O1 O 0.125 0.628 0.628
O2 O 0.126 0.126 0.126
O3 O 0.143 0.143 0.609
O4 O 0.143 0.609 0.143
O5 O 0.369 0.369 0.369
O6 O 0.372 0.372 0.875
O7 O 0.372 0.875 0.372
O8 O 0.391 0.857 0.857
O9 O 0.609 0.143 0.143
O10 O 0.628 0.125 0.628
O11 O 0.628 0.628 0.125
O12 O 0.631 0.631 0.631
O13 O 0.857 0.391 0.857
O14 O 0.857 0.857 0.391
O15 O 0.874 0.874 0.874
O16 O 0.875 0.372 0.372
# V, Å³ per cell: 276.2

---

--- D ---
# Li9Co7O16 | Materials Project | PBE with a Hubbard U | optimized geometry
data_Li9Co7O16
_cell_length_a 5.016
_cell_length_b 6.462
_cell_length_c 8.594
_cell_angle_alpha 97.15
_cell_angle_beta 94.98
_cell_angle_gamma 96.87
_symmetry_space_group_name_H-M 'P 1'
_symmetry_Int_Tables_number 1
_symmetry_space_group_name_Hall 'P 1'
loop_
_atom_site_label
_atom_site_type_symbol
_atom_site_fract_x
_atom_site_fract_y
_atom_site_fract_z
Li1 Li 0.000 0.000 0.000
Li2 Li 0.249 0.428 0.060
Li3 Li 0.250 0.936 0.563
Li4 Li 0.252 0.182 0.303
Li5 Li 0.252 0.694 0.817
Li6 Li 0.748 0.306 0.183
Li7 Li 0.748 0.818 0.697
Li8 Li 0.750 0.064 0.437
Li9 Li 0.751 0.572 0.940
Co1 Co 0.000 0.244 0.755
Co2 Co 0.000 0.500 0.500
Co3 Co 0.000 0.756 0.245
Co4 Co 0.499 0.374 0.626
Co5 Co 0.500 0.124 0.875
Co6 Co 0.500 0.876 0.125
Co7 Co 0.501 0.626 0.374
O1 O 0.116 0.488 0.292
O2 O 0.119 0.234 0.545
O3 O 0.138 0.999 0.782
O4 O 0.141 0.727 0.055
O5 O 0.357 0.385 0.837
O6 O 0.357 0.893 0.331
O7 O 0.382 0.652 0.590
O8 O 0.394 0.141 0.084
O9 O 0.606 0.859 0.916
O10 O 0.618 0.348 0.410
O11 O 0.643 0.107 0.669
O12 O 0.643 0.615 0.163
O13 O 0.859 0.273 0.945
O14 O 0.862 0.001 0.218
O15 O 0.881 0.766 0.455
O16 O 0.884 0.512 0.708
# V, Å³ per cell: 272.9

---

Top of the stability list: D, leading by 13 meV per atom.

---

--- A ---
# Li9Co7O16 | Materials Project | PBE with a Hubbard U | optimized geometry
data_Li9Co7O16
_cell_length_a 5.689
_cell_length_b 6.411
_cell_length_c 7.546
_cell_angle_alpha 86.10
_cell_angle_beta 78.97
_cell_angle_gamma 77.16
_symmetry_space_group_name_H-M 'P 1'
_symmetry_Int_Tables_number 1
_symmetry_space_group_name_Hall 'P 1'
loop_
_atom_site_label
_atom_site_type_symbol
_atom_site_fract_x
_atom_site_fract_y
_atom_site_fract_z
Li1 Li 0.000 0.000 0.000
Li2 Li 0.062 0.124 0.628
Li3 Li 0.184 0.372 0.876
Li4 Li 0.308 0.630 0.125
Li5 Li 0.438 0.876 0.375
Li6 Li 0.562 0.124 0.625
Li7 Li 0.692 0.370 0.875
Li8 Li 0.816 0.628 0.124
Li9 Li 0.938 0.876 0.372
Co1 Co 0.125 0.249 0.247
Co2 Co 0.250 0.500 0.500
Co3 Co 0.370 0.753 0.754
Co4 Co 0.500 0.000 0.000
Co5 Co 0.630 0.247 0.246
Co6 Co 0.750 0.500 0.500
Co7 Co 0.875 0.751 0.753
O1 O 0.034 0.544 0.326
O2 O 0.098 0.691 0.917
O3 O 0.156 0.796 0.578
O4 O 0.233 0.956 0.180
O5 O 0.301 0.044 0.821
O6 O 0.343 0.208 0.423
O7 O 0.410 0.294 0.073
O8 O 0.467 0.459 0.674
O9 O 0.533 0.541 0.326
O10 O 0.590 0.706 0.927
O11 O 0.657 0.792 0.577
O12 O 0.699 0.956 0.179
O13 O 0.767 0.044 0.820
O14 O 0.844 0.204 0.422
O15 O 0.902 0.309 0.083
O16 O 0.966 0.456 0.674
# V, Å³ per cell: 263.3

---

--- B ---
# Li9Co7O16 | Materials Project | PBE with a Hubbard U | optimized geometry
data_Li9Co7O16
_cell_length_a 4.987
_cell_length_b 5.057
_cell_length_c 11.568
_cell_angle_alpha 90.35
_cell_angle_beta 90.71
_cell_angle_gamma 108.84
_symmetry_space_group_name_H-M 'P 1'
_symmetry_Int_Tables_number 1
_symmetry_space_group_name_Hall 'P 1'
loop_
_atom_site_label
_atom_site_type_symbol
_atom_site_fract_x
_atom_site_fract_y
_atom_site_fract_z
Li1 Li 0.000 0.000 0.000
Li2 Li 0.000 0.000 0.500
Li3 Li 0.001 0.001 0.248
Li4 Li 0.499 0.000 0.378
Li5 Li 0.499 0.999 0.123
Li6 Li 0.500 0.500 0.000
Li7 Li 0.501 0.000 0.622
Li8 Li 0.501 0.001 0.877
Li9 Li 0.999 0.999 0.752
Co1 Co 0.002 0.497 0.375
Co2 Co 0.006 0.500 0.879
Co3 Co 0.497 0.496 0.244
Co4 Co 0.500 0.500 0.500
Co5 Co 0.503 0.504 0.756
Co6 Co 0.994 0.500 0.121
Co7 Co 0.998 0.503 0.625
O1 O 0.214 0.720 0.998
O2 O 0.229 0.728 0.242
O3 O 0.233 0.276 0.870
O4 O 0.236 0.730 0.759
O5 O 0.243 0.278 0.131
O6 O 0.254 0.273 0.381
O7 O 0.255 0.730 0.501
O8 O 0.266 0.280 0.622
O9 O 0.734 0.720 0.378
O10 O 0.745 0.270 0.499
O11 O 0.746 0.727 0.619
O12 O 0.757 0.722 0.869
O13 O 0.764 0.270 0.241
O14 O 0.767 0.724 0.130
O15 O 0.771 0.272 0.758
O16 O 0.786 0.280 0.002
# V, Å³ per cell: 276.1

---

Top of the stability list: A, leading by 56 meV per atom.

---

--- A ---
# NaMnO2 | Materials Project | PBE with a Hubbard U | optimized geometry
data_NaMnO2
_cell_length_a 3.195
_cell_length_b 5.184
_cell_length_c 6.115
_cell_angle_alpha 68.24
_cell_angle_beta 100.16
_cell_angle_gamma 96.32
_symmetry_space_group_name_H-M 'P 1'
_symmetry_Int_Tables_number 1
_symmetry_space_group_name_Hall 'P 1'
loop_
_atom_site_label
_atom_site_type_symbol
_atom_site_fract_x
_atom_site_fract_y
_atom_site_fract_z
Na1 Na 0.250 0.750 0.500
Na2 Na 0.750 0.250 0.500
Mn1 Mn 0.500 0.500 0.000
Mn2 Mn 0.000 0.000 0.000
O1 O 0.131 0.221 0.205
O2 O 0.631 0.721 0.205
O3 O 0.869 0.779 0.795
O4 O 0.369 0.279 0.795
# V, Å³ per cell: 92.5

---

--- B ---
# NaMnO2 | Materials Project | PBE with a Hubbard U | optimized geometry
data_NaMnO2
_cell_length_a 6.504
_cell_length_b 6.498
_cell_length_c 6.054
_cell_angle_alpha 62.29
_cell_angle_beta 62.20
_cell_angle_gamma 55.51
_symmetry_space_group_name_H-M 'P 1'
_symmetry_Int_Tables_number 1
_symmetry_space_group_name_Hall 'P 1'
loop_
_atom_site_label
_atom_site_type_symbol
_atom_site_fract_x
_atom_site_fract_y
_atom_site_fract_z
Na1 Na 0.000 0.000 0.000
Na2 Na 0.000 0.000 0.500
Na3 Na 0.000 0.500 0.000
Na4 Na 0.500 0.000 0.000
Mn1 Mn 0.000 0.500 0.500
Mn2 Mn 0.500 0.000 0.500
Mn3 Mn 0.500 0.500 0.000
Mn4 Mn 0.500 0.500 0.500
O1 O 0.252 0.252 0.287
O2 O 0.252 0.252 0.709
O3 O 0.287 0.709 0.252
O4 O 0.291 0.713 0.748
O5 O 0.709 0.287 0.252
O6 O 0.713 0.291 0.748
O7 O 0.748 0.748 0.291
O8 O 0.748 0.748 0.713
# V, Å³ per cell: 179.3

---

Top of the stability list: B, leading by 27 meV per atom.

---

--- A ---
# MgMn6O8F4 | Materials Project | PBE with a Hubbard U | optimized geometry
data_MgMn6O8F4
_cell_length_a 3.061
_cell_length_b 5.237
_cell_length_c 14.397
_cell_angle_alpha 79.63
_cell_angle_beta 89.98
_cell_angle_gamma 89.97
_symmetry_space_group_name_H-M 'P 1'
_symmetry_Int_Tables_number 1
_symmetry_space_group_name_Hall 'P 1'
loop_
_atom_site_label
_atom_site_type_symbol
_atom_site_fract_x
_atom_site_fract_y
_atom_site_fract_z
Mg1 Mg 0.000 0.000 0.000
Mn1 Mn 0.492 0.008 0.663
Mn2 Mn 0.492 0.993 0.337
Mn3 Mn 0.500 0.500 0.000
Mn4 Mn 0.993 0.460 0.781
Mn5 Mn 0.993 0.500 0.500
Mn6 Mn 0.993 0.541 0.219
O1 O 0.000 0.381 0.928
O2 O 0.492 0.320 0.248
O3 O 0.493 0.317 0.567
O4 O 0.493 0.682 0.753
O5 O 0.493 0.684 0.433
O6 O 0.987 0.142 0.726
O7 O 0.987 0.860 0.274
O8 O 0.999 0.619 0.072
F1 F 0.500 0.103 0.075
F2 F 0.500 0.897 0.926
F3 F 0.999 0.160 0.404
F4 F 0.999 0.840 0.597
# V, Å³ per cell: 227.0

---

--- B ---
# MgMn6O8F4 | Materials Project | PBE with a Hubbard U | optimized geometry
data_MgMn6O8F4
_cell_length_a 5.119
_cell_length_b 5.188
_cell_length_c 8.805
_cell_angle_alpha 89.58
_cell_angle_beta 88.67
_cell_angle_gamma 88.89
_symmetry_space_group_name_H-M 'P 1'
_symmetry_Int_Tables_number 1
_symmetry_space_group_name_Hall 'P 1'
loop_
_atom_site_label
_atom_site_type_symbol
_atom_site_fract_x
_atom_site_fract_y
_atom_site_fract_z
Mg1 Mg 0.000 0.000 0.000
Mn1 Mn 0.053 0.489 0.163
Mn2 Mn 0.074 0.506 0.803
Mn3 Mn 0.475 0.994 0.647
Mn4 Mn 0.483 0.002 0.311
Mn5 Mn 0.489 0.991 0.989
Mn6 Mn 0.973 0.410 0.493
O1 O 0.186 0.287 0.320
O2 O 0.209 0.318 0.986
O3 O 0.215 0.285 0.646
O4 O 0.278 0.836 0.145
O5 O 0.288 0.844 0.831
O6 O 0.676 0.131 0.478
O7 O 0.707 0.119 0.142
O8 O 0.834 0.612 0.656
F1 F 0.308 0.791 0.471
F2 F 0.745 0.113 0.834
F3 F 0.811 0.627 0.319
F4 F 0.835 0.659 0.988
# V, Å³ per cell: 233.7

---

--- C ---
# MgMn6O8F4 | Materials Project | PBE with a Hubbard U | optimized geometry
data_MgMn6O8F4
_cell_length_a 5.176
_cell_length_b 5.772
_cell_length_c 7.717
_cell_angle_alpha 81.43
_cell_angle_beta 82.67
_cell_angle_gamma 80.21
_symmetry_space_group_name_H-M 'P 1'
_symmetry_Int_Tables_number 1
_symmetry_space_group_name_Hall 'P 1'
loop_
_atom_site_label
_atom_site_type_symbol
_atom_site_fract_x
_atom_site_fract_y
_atom_site_fract_z
Mg1 Mg 0.000 0.000 0.000
Mn1 Mn 0.019 0.375 0.186
Mn2 Mn 0.486 0.160 0.831
Mn3 Mn 0.487 0.516 0.494
Mn4 Mn 0.493 0.842 0.174
Mn5 Mn 0.948 0.987 0.489
Mn6 Mn 0.952 0.631 0.815
O1 O 0.133 0.030 0.247
O2 O 0.137 0.681 0.581
O3 O 0.138 0.329 0.929
O4 O 0.374 0.878 0.942
O5 O 0.622 0.797 0.397
O6 O 0.819 0.321 0.414
O7 O 0.834 0.977 0.752
O8 O 0.851 0.682 0.067
F1 F 0.331 0.524 0.246
F2 F 0.351 0.218 0.584
F3 F 0.634 0.463 0.754
F4 F 0.657 0.166 0.078
# V, Å³ per cell: 223.4

---

Top of the stability list: C, leading by 30 meV per atom.

---

--- A ---
# MgMn6O8F4 | Materials Project | PBE with a Hubbard U | optimized geometry
data_MgMn6O8F4
_cell_length_a 5.203
_cell_length_b 5.737
_cell_length_c 7.614
_cell_angle_alpha 82.68
_cell_angle_beta 86.96
_cell_angle_gamma 84.66
_symmetry_space_group_name_H-M 'P 1'
_symmetry_Int_Tables_number 1
_symmetry_space_group_name_Hall 'P 1'
loop_
_atom_site_label
_atom_site_type_symbol
_atom_site_fract_x
_atom_site_fract_y
_atom_site_fract_z
Mg1 Mg 0.000 0.000 0.000
Mn1 Mn 0.010 0.988 0.509
Mn2 Mn 0.011 0.608 0.828
Mn3 Mn 0.494 0.110 0.805
Mn4 Mn 0.499 0.496 0.516
Mn5 Mn 0.532 0.846 0.202
Mn6 Mn 0.971 0.365 0.194
O1 O 0.152 0.918 0.754
O2 O 0.319 0.420 0.741
O3 O 0.325 0.808 0.422
O4 O 0.669 0.544 0.287
O5 O 0.693 0.849 0.947
O6 O 0.697 0.182 0.595
O7 O 0.869 0.343 0.962
O8 O 0.872 0.047 0.262
F1 F 0.155 0.658 0.089
F2 F 0.178 0.322 0.403
F3 F 0.330 0.124 0.065
F4 F 0.810 0.677 0.602
# V, Å³ per cell: 224.2

---

--- B ---
# MgMn6O8F4 | Materials Project | PBE with a Hubbard U | optimized geometry
data_MgMn6O8F4
_cell_length_a 5.125
_cell_length_b 5.174
_cell_length_c 8.886
_cell_angle_alpha 89.34
_cell_angle_beta 88.85
_cell_angle_gamma 81.70
_symmetry_space_group_name_H-M 'P 1'
_symmetry_Int_Tables_number 1
_symmetry_space_group_name_Hall 'P 1'
loop_
_atom_site_label
_atom_site_type_symbol
_atom_site_fract_x
_atom_site_fract_y
_atom_site_fract_z
Mg1 Mg 0.000 0.000 0.000
Mn1 Mn 0.059 0.547 0.653
Mn2 Mn 0.074 0.507 0.009
Mn3 Mn 0.498 0.958 0.171
Mn4 Mn 0.522 0.935 0.499
Mn5 Mn 0.527 0.913 0.818
Mn6 Mn 0.907 0.412 0.322
O1 O 0.140 0.228 0.157
O2 O 0.355 0.759 0.659
O3 O 0.355 0.780 0.001
O4 O 0.645 0.137 0.331
O5 O 0.655 0.096 0.656
O6 O 0.804 0.648 0.487
O7 O 0.854 0.707 0.158
O8 O 0.899 0.720 0.854
F1 F 0.157 0.241 0.845
F2 F 0.176 0.244 0.495
F3 F 0.343 0.757 0.345
F4 F 0.646 0.181 0.982
# V, Å³ per cell: 233.1

---

--- C ---
# MgMn6O8F4 | Materials Project | PBE with a Hubbard U | optimized geometry
data_MgMn6O8F4
_cell_length_a 5.203
_cell_length_b 5.735
_cell_length_c 7.676
_cell_angle_alpha 81.74
_cell_angle_beta 85.98
_cell_angle_gamma 84.42
_symmetry_space_group_name_H-M 'P 1'
_symmetry_Int_Tables_number 1
_symmetry_space_group_name_Hall 'P 1'
loop_
_atom_site_label
_atom_site_type_symbol
_atom_site_fract_x
_atom_site_fract_y
_atom_site_fract_z
Mg1 Mg 0.000 0.000 0.000
Mn1 Mn 0.012 0.650 0.790
Mn2 Mn 0.020 0.387 0.165
Mn3 Mn 0.501 0.829 0.127
Mn4 Mn 0.506 0.186 0.804
Mn5 Mn 0.555 0.537 0.491
Mn6 Mn 0.989 0.026 0.478
O1 O 0.161 0.660 0.030
O2 O 0.323 0.138 0.037
O3 O 0.343 0.493 0.710
O4 O 0.698 0.231 0.582
O5 O 0.699 0.561 0.243
O6 O 0.703 0.877 0.904
O7 O 0.855 0.730 0.567
O8 O 0.878 0.082 0.243
F1 F 0.162 0.999 0.718
F2 F 0.196 0.306 0.401
F3 F 0.342 0.825 0.375
F4 F 0.848 0.336 0.914
# V, Å³ per cell: 225.2

---

Top of the stability list: C, leading by 6 meV per atom.